No. 1
{
  "formula": "NaFe7P6O24",
  "functional": "PBE with a Hubbard U",
  "state": "optimized geometry",
  "lattice": [[7.3063, 0.0000, 0.0000], [2.2717, 8.7896, 0.0000], [3.6458, 3.6147, 8.5411]],
  "species": ["O", "O", "O", "P", "O", "O", "Fe", "O", "P", "O", "P", "P", "O", "Fe", "O", "P", "O", "O", "O", "O", "O", "Na", "P", "O", "O", "O", "O", "O", "Fe", "O", "O", "Fe", "Fe", "Fe", "O", "O", "O", "Fe"],
  "frac_coords": [[0.6021, 0.7924, 0.7517], [0.1299, 0.2807, 0.5500], [0.3684, 0.4288, 0.9875], [0.7300, 0.7375, 0.8890], [0.5880, 0.9247, 0.2744], [0.8190, 0.1988, 0.5672], [0.3168, 0.5842, 0.0985], [0.4452, 0.5806, 0.6303], [0.0762, 0.7696, 0.3377], [0.4120, 0.0753, 0.7256], [0.9238, 0.2304, 0.6623], [0.2700, 0.2625, 0.1110], [0.2532, 0.8251, 0.9329], [0.6832, 0.4158, 0.9015], [0.9348, 0.6669, 0.7997], [0.3892, 0.8960, 0.7601], [0.5548, 0.4194, 0.3697], [0.0641, 0.9322, 0.1936], [0.3115, 0.8781, 0.6454], [0.1967, 0.6303, 0.2847], [0.6316, 0.5712, 0.0125], [0.5000, 0.0000, 0.0000], [0.6108, 0.1040, 0.2399], [0.1810, 0.8012, 0.4328], [0.7004, 0.5352, 0.3344], [0.0652, 0.3331, 0.2003], [0.8701, 0.7193, 0.4500], [0.7468, 0.1749, 0.0671], [0.6357, 0.6978, 0.4256], [0.6885, 0.1219, 0.3546], [0.3979, 0.2076, 0.2483], [0.0000, 0.0000, 0.0000], [0.8172, 0.2896, 0.3566], [0.3643, 0.3022, 0.5744], [0.9359, 0.0678, 0.8064], [0.8033, 0.3697, 0.7153], [0.2996, 0.4648, 0.6656], [0.1828, 0.7104, 0.6434]],
  "density_g_cm3": 3.0,
  "space_group": "P-1",
  "volume_a3_per_cell": 548.5,
  "relative_energy_kj_per_mol_atoms": 47.7,
  "dft_energy_ev_per_cell": -254.701,
  "formation_energy_ev_per_atom": -1.8371
}

=====

No. 2
{
  "formula": "Na2Fe7P6O24",
  "functional": "PBE with a Hubbard U",
  "state": "optimized geometry",
  "lattice": [[-4.3172, 2.7652, -4.1015], [-3.8148, -0.2609, 7.6191], [5.5949, 6.2657, 2.5239]],
  "species": ["O", "Fe", "O", "O", "O", "O", "O", "P", "O", "P", "O", "O", "O", "Fe", "P", "Na", "P", "O", "O", "Fe", "O", "O", "Fe", "O", "O", "P", "P", "O", "Fe", "Fe", "O", "O", "O", "O", "O", "O", "O", "Fe", "Na"],
  "frac_coords": [[0.6008, 0.6671, 0.9941], [0.8714, 0.6200, 0.9432], [0.4610, 0.8210, 0.2712], [0.6123, 0.1659, 0.1736], [0.6883, 0.9485, 0.5984], [0.8892, 0.9910, 0.3217], [0.1924, 0.6105, 0.9604], [0.3689, 0.6588, 0.8720], [0.3117, 0.0515, 0.4016], [0.6311, 0.3412, 0.1280], [0.2903, 0.5264, 0.7199], [0.8076, 0.3895, 0.0396], [0.2329, 0.7250, 0.4662], [0.7484, 0.7285, 0.2723], [0.1160, 0.1286, 0.3410], [0.2488, 0.9798, 0.0217], [0.8840, 0.8714, 0.6590], [0.1108, 0.0090, 0.6783], [0.2457, 0.5247, 0.2631], [0.6299, 0.0588, 0.3848], [0.8930, 0.8308, 0.8314], [0.8517, 0.7244, 0.5362], [0.2516, 0.2715, 0.7277], [0.9644, 0.2604, 0.8224], [0.5390, 0.1790, 0.7288], [0.2460, 0.7024, 0.2922], [0.7540, 0.2977, 0.7078], [0.0356, 0.7396, 0.1776], [0.0000, 0.5000, 0.5000], [0.1286, 0.3800, 0.0568], [0.1070, 0.1692, 0.1686], [0.7543, 0.4753, 0.7369], [0.1483, 0.2756, 0.4638], [0.3877, 0.8341, 0.8264], [0.7097, 0.4736, 0.2801], [0.7671, 0.2750, 0.5338], [0.3992, 0.3329, 0.0059], [0.3701, 0.9412, 0.6152], [0.7512, 0.0202, 0.9783]],
  "density_g_cm3": 3.8,
  "space_group": "P-1",
  "volume_a3_per_cell": 445.5,
  "dft_energy_ev_per_cell": -271.671,
  "formation_energy_ev_per_atom": -2.3278
}

=====

No. 3
{
  "formula": "Na3Fe2P3O12",
  "functional": "PBE with a Hubbard U",
  "state": "optimized geometry",
  "lattice": [[-2.1242, -7.9858, -3.1597], [4.3534, -3.2788, -6.9690], [5.5883, -6.8625, 1.0232]],
  "species": ["O", "Na", "O", "O", "Na", "O", "O", "O", "P", "O", "O", "Fe", "Na", "Fe", "O", "P", "O", "O", "Fe", "O", "O", "O", "O", "O", "Na", "Fe", "O", "O", "Na", "O", "P", "O", "O", "O", "P", "P", "O", "Na", "P", "O"],
  "frac_coords": [[0.8731, 0.9847, 0.2176], [0.8910, 0.7516, 0.1160], [0.1269, 0.0153, 0.7824], [0.5321, 0.7984, 0.6153], [0.7516, 0.8910, 0.6160], [0.0617, 0.7793, 0.4219], [0.3749, 0.7098, 0.5141], [0.7793, 0.0617, 0.9219], [0.5498, 0.7474, 0.4634], [0.9131, 0.5644, 0.7762], [0.9383, 0.2207, 0.5781], [0.1534, 0.6422, 0.6465], [0.0000, 0.5000, 0.5000], [0.6422, 0.1534, 0.1465], [0.9847, 0.8731, 0.7176], [0.9559, 0.0441, 0.7500], [0.5644, 0.9131, 0.2762], [0.7098, 0.3749, 0.0141], [0.8466, 0.3578, 0.3535], [0.4165, 0.2684, 0.0673], [0.2902, 0.6251, 0.9859], [0.0153, 0.1269, 0.2824], [0.7316, 0.5835, 0.4327], [0.5835, 0.7316, 0.9327], [0.5000, 0.0000, 0.0000], [0.3578, 0.8466, 0.8535], [0.2207, 0.9383, 0.0781], [0.2684, 0.4165, 0.5673], [0.2484, 0.1090, 0.3840], [0.6251, 0.2902, 0.4859], [0.4502, 0.2526, 0.5366], [0.2016, 0.4679, 0.8847], [0.7984, 0.5321, 0.1153], [0.4679, 0.2016, 0.3847], [0.7474, 0.5498, 0.9634], [0.2526, 0.4502, 0.0366], [0.4356, 0.0869, 0.7238], [0.1090, 0.2484, 0.8840], [0.0441, 0.9559, 0.2500], [0.0869, 0.4356, 0.2238]],
  "density_g_cm3": 3.1,
  "space_group": "C2/c",
  "volume_a3_per_cell": 491.8,
  "relative_energy_kj_per_mol_atoms": 0.0,
  "dft_energy_ev_per_cell": -265.691,
  "formation_energy_ev_per_atom": -2.4539
}